# 1
# Ca2Al2Si6SnH6O22 (PBE, relaxed)
data_Ca2Al2Si6SnH6O22
_space_group_name_H-M_alt 'P 1 21/c 1'
_space_group_IT_number 14
_space_group_name_Hall '-P 2ybc'
_cell_length_a 7.5605
_cell_length_b 7.8299
_cell_length_c 16.0307
_cell_angle_alpha 90.00
_cell_angle_beta 101.04
_cell_angle_gamma 90.00
loop_
_atom_site_label
_atom_site_type_symbol
_atom_site_fract_x
_atom_site_fract_y
_atom_site_fract_z
Ca1 Ca 0.0027 0.1887 0.2996
Al1 Al 0.3204 0.5218 0.7286
Si1 Si 0.2870 0.6692 0.5437
Si2 Si 0.3063 0.1453 0.6664
Si3 Si 0.3324 0.2163 0.9930
Sn1 Sn 0.0000 0.0000 0.5000
H1 H 0.1528 0.5320 0.3786
H2 H 0.2159 0.6319 0.8567
H3 H 0.2745 0.0096 0.8116
O1 O 0.1380 0.0223 0.6245
O2 O 0.1478 0.0033 0.8189
O3 O 0.1633 0.6984 0.9797
O4 O 0.1646 0.1677 0.4453
O5 O 0.1815 0.6052 0.7963
O6 O 0.2340 0.6441 0.6367
O7 O 0.2370 0.1905 0.2153
O8 O 0.2651 0.0161 0.9926
O9 O 0.4065 0.2234 0.5916
O10 O 0.4465 0.0339 0.7354
O11 O 0.4982 0.2241 0.9413
# calculated volume = 466 Å³/f.u.
# energy of formation from the pure elements = -2.795 eV per atom
# offset from the most stable computed form = 0.000 eV per atom

# 2
# Ca2Al2Si6SnH6O22 (PBE, relaxed)
data_Ca2Al2Si6SnH6O22
_space_group_name_H-M_alt 'P 1 21/c 1'
_space_group_IT_number 14
_space_group_name_Hall '-P 2ybc'
_cell_length_a 7.9097
_cell_length_b 7.8786
_cell_length_c 16.0183
_cell_angle_alpha 90.00
_cell_angle_beta 107.50
_cell_angle_gamma 90.00
loop_
_atom_site_label
_atom_site_type_symbol
_atom_site_fract_x
_atom_site_fract_y
_atom_site_fract_z
Ca1 Ca 0.0063 0.1894 0.2046
Al1 Al 0.3408 0.0252 0.7470
Si1 Si 0.2493 0.1720 0.5538
Si2 Si 0.3005 0.6990 0.9975
Si3 Si 0.3510 0.6441 0.6761
Sn1 Sn 0.0000 0.0000 0.0000
H1 H 0.1184 0.0401 0.3800
H2 H 0.2271 0.1189 0.8680
H3 H 0.2585 0.5305 0.8402
O1 O 0.1234 0.2074 0.9792
O2 O 0.1319 0.0018 0.3235
O3 O 0.1520 0.6660 0.4444
O4 O 0.1747 0.5212 0.6310
O5 O 0.1890 0.0912 0.8056
O6 O 0.2163 0.5117 0.0032
O7 O 0.2233 0.1451 0.6497
O8 O 0.2847 0.6939 0.2261
O9 O 0.4140 0.7341 0.5932
O10 O 0.4203 0.6339 0.9316
O11 O 0.4476 0.2323 0.0655
# calculated volume = 476 Å³/f.u.
# energy of formation from the pure elements = -2.417 eV per atom
# offset from the most stable computed form = 0.378 eV per atom

Number 1: E (MP2020) -0.540 Ry per atom. Number 2: E (MP2020) -0.512 Ry per atom.